Material: Dy2TiSi2
Method: DFT, PBE
State: relaxed

```
5
Lattice="-1.217 0.000 -2.652 -2.520 -0.911 1.156 -3.984 13.341 1.826" Properties=species:S:1:pos:R:3 pbc="T T T"
Dy -4.351 7.857 0.390
Dy -3.370 4.573 -0.060
Ti -1.868 -0.456 -0.748
Si -5.153 10.544 0.758
Si -2.568 1.886 -0.427
```

## Properties
SG   No. 123
Size of the total moment   0.5 μB per formula unit

---

Material: DyTiSi
Method: DFT, PBE
State: relaxed

```
6
Lattice="-0.475 3.788 -1.313 -0.508 -1.369 -3.764 -7.451 -0.520 1.194" Properties=species:S:1:pos:R:3 pbc="T T T"
Si -2.003 1.771 -0.374
Si -5.939 -1.081 -0.971
Dy -5.123 1.553 0.126
Dy -2.820 -0.864 -1.471
Ti -0.491 1.209 -2.539
Ti 0.000 0.000 0.000
```

## Properties
SG   No. 129

---

Material: SmDy3
Method: DFT, PBE
State: relaxed

```
4
Lattice="-2.522 2.522 5.050 2.522 -2.522 5.050 2.522 2.522 -5.050" Properties=species:S:1:pos:R:3 pbc="T T T"
Dy 2.522 0.000 2.525
Dy 0.000 2.522 2.525
Dy 0.000 0.000 5.050
Sm 0.000 0.000 0.000
```

## Properties
SG   No. 139

---

Material: SmDy3
Method: DFT, PBE
State: relaxed

```
8
Lattice="-6.758 -0.660 2.585 1.203 -0.356 -7.157 0.702 -5.628 0.398" Properties=species:S:1:pos:R:3 pbc="T T T"
Dy -4.912 -4.830 1.269
Dy 0.058 -1.814 -5.442
Dy -3.339 -2.145 -4.143
Dy -0.546 -1.635 -1.845
Dy -4.307 -5.010 -2.328
Dy -1.515 -4.499 -0.031
Sm -0.925 -4.679 -3.611
Sm -3.929 -1.966 -0.562
```

## Properties
SG   No. 194

---

Material: Sm3Dy
Method: DFT, PBE
State: relaxed

```
4
Lattice="-3.505 1.153 3.535 2.036 -3.469 3.151 3.111 3.570 1.920" Properties=species:S:1:pos:R:3 pbc="T T T"
Sm -0.197 2.362 2.727
Sm 2.574 0.051 2.535
Sm -0.734 -1.158 3.343
Dy 0.000 0.000 0.000
```

## Properties
Energy above the lowest structure with this stoichiometry   0 meV per atom
SG   No. 221

---

Material: Sm3Dy
Method: DFT, PBE
State: relaxed

```
8
Lattice="-6.559 -1.834 2.633 3.851 -4.829 -3.895 2.499 -1.939 4.875" Properties=species:S:1:pos:R:3 pbc="T T T"
Dy -2.464 -3.317 1.676
Dy 2.256 -5.285 1.938
Sm -0.538 -5.732 -0.271
Sm 0.815 -2.400 0.359
Sm -1.024 -6.202 3.254
Sm 0.330 -2.870 3.885
Sm -2.950 -3.787 5.201
Sm 2.741 -4.814 -1.588
```

## Properties
Energy above the lowest structure with this stoichiometry   11 meV per atom
SG   No. 194

---

no.,energy of formation (eV per atom)
1,0.792
2,-0.629
3,0.021
4,0.020
5,0.012
6,0.023